1.
Compound: MoH2O4
Source: the Materials Project database
Functional: PBE+U
Structure: relaxed

Lattice parameters (Å, degrees): 3.8273 6.1200 7.6512 69.43 82.24 75.99
Element x y z (fractional)
Mo  0.0000  0.0000  0.0000
Mo  0.4805  0.7448  0.4179
H  0.1320  0.0884  0.5270
H  0.1939  0.6232  0.9148
H  0.4289  0.3231  0.3783
H  0.7851  0.3796  0.1328
O  0.0403  0.1072  0.7611
O  0.0771  0.6683  0.0232
O  0.2944  0.0789  0.4174
O  0.4494  0.6253  0.6568
O  0.4688  0.9546  0.0812
O  0.5501  0.4620  0.3569
O  0.8299  0.2919  0.0432
O  0.9470  0.7934  0.3501

Output
Formation energy from the elements in eV per atom: -1.54



2.
Compound: MoH2O4
Source: the Materials Project database
Functional: PBE+U
Structure: relaxed

Lattice parameters (Å, degrees): 3.7631 6.3559 7.6156 67.08 88.08 74.07
Element x y z (fractional)
Mo  0.2244  0.0819  0.2861
Mo  0.7756  0.9181  0.7139
H  0.0012  0.5333  0.1872
H  0.4742  0.5889  0.3552
H  0.5258  0.4111  0.6448
H  0.9988  0.4667  0.8128
O  0.0927  0.3899  0.3060
O  0.1749  0.2064  0.0407
O  0.2634  0.9485  0.6319
O  0.3789  0.7604  0.3211
O  0.6211  0.2396  0.6789
O  0.7366  0.0515  0.3681
O  0.8251  0.7936  0.9593
O  0.9073  0.6101  0.6940

Output
Formation energy from the elements in eV per atom: -1.51



Number 1: calculated total energy -6.036 eV/atom, offset from the most stable computed form 77 meV per atom. Number 2: calculated total energy -6.008 eV/atom, offset from the most stable computed form 106 meV per atom.